[1]
! ZrIn2, relaxed, DFT r²SCAN; values from VASP
&SYSTEM
  ibrav = 0, nat = 12, ntyp = 2
/
ATOMIC_SPECIES
In 114.82 In.upf
Zr 91.22 Zr.upf
CELL_PARAMETERS angstrom
4.356 0.000 -0.693
-0.110 4.355 -0.693
-0.002 -0.002 14.035
ATOMIC_POSITIONS crystal
In 0.626 0.376 0.751
In 0.374 0.624 0.249
Zr 0.702 0.952 0.904
In 0.876 0.126 0.251
In 0.213 0.463 0.926
In 0.124 0.874 0.749
Zr 0.298 0.048 0.096
Zr 0.548 0.798 0.596
In 0.787 0.537 0.074
Zr 0.452 0.202 0.404
In 0.037 0.287 0.574
In 0.963 0.713 0.426
! **Crystal system**: tetragonal
! **Formation energy from the elements**: -0.3983 eV/atom

[2]
! La3Ir, relaxed, DFT r²SCAN; values from VASP
&SYSTEM
  ibrav = 0, nat = 16, ntyp = 2
/
ATOMIC_SPECIES
La 138.91 La.upf
Ir 192.22 Ir.upf
CELL_PARAMETERS angstrom
-0.264 -3.193 5.914
-1.080 -6.413 -3.511
10.125 -1.507 -0.361
ATOMIC_POSITIONS crystal
La 0.148 0.451 0.750
La 0.325 0.660 0.069
Ir 0.065 0.875 0.250
La 0.648 0.049 0.250
La 0.352 0.951 0.750
La 0.825 0.840 0.931
Ir 0.565 0.625 0.750
La 0.825 0.840 0.569
La 0.675 0.340 0.931
La 0.175 0.160 0.431
La 0.852 0.549 0.250
Ir 0.935 0.125 0.750
Ir 0.435 0.375 0.250
La 0.325 0.660 0.431
La 0.175 0.160 0.069
La 0.675 0.340 0.569
! **Crystal system**: orthorhombic
! **Formation energy from the elements**: -0.5582 eV/atom

[3]
! La2Ir7, relaxed, DFT r²SCAN; values from VASP
&SYSTEM
  ibrav = 0, nat = 36, ntyp = 2
/
ATOMIC_SPECIES
Ir 192.22 Ir.upf
La 138.91 La.upf
CELL_PARAMETERS angstrom
2.688 -4.656 0.000
2.688 4.656 0.000
0.000 0.000 26.388
ATOMIC_POSITIONS crystal
Ir 0.670 0.835 0.913
Ir 0.165 0.330 0.587
Ir 0.000 0.000 0.832
Ir 0.330 0.165 0.413
Ir 0.000 0.000 0.500
Ir 0.333 0.667 0.666
La 0.667 0.333 0.674
Ir 0.336 0.168 0.250
Ir 0.165 0.330 0.913
La 0.333 0.667 0.326
Ir 0.168 0.832 0.750
Ir 0.165 0.835 0.913
La 0.333 0.667 0.029
La 0.667 0.333 0.971
Ir 0.835 0.670 0.413
Ir 0.333 0.667 0.834
Ir 0.000 0.000 0.000
Ir 0.832 0.664 0.250
Ir 0.664 0.832 0.750
Ir 0.835 0.165 0.413
Ir 0.000 0.000 0.332
Ir 0.330 0.165 0.087
La 0.667 0.333 0.826
Ir 0.835 0.165 0.087
La 0.333 0.667 0.471
Ir 0.670 0.835 0.587
Ir 0.165 0.835 0.587
Ir 0.832 0.168 0.250
Ir 0.000 0.000 0.668
La 0.667 0.333 0.529
Ir 0.835 0.670 0.087
Ir 0.667 0.333 0.334
La 0.333 0.667 0.174
Ir 0.667 0.333 0.166
Ir 0.000 0.000 0.168
Ir 0.168 0.336 0.750
! **Crystal system**: hexagonal
! **Formation energy from the elements**: -0.5286 eV/atom

[4]
! La3Ir2, relaxed, DFT r²SCAN; values from VASP
&SYSTEM
  ibrav = 0, nat = 15, ntyp = 2
/
ATOMIC_SPECIES
La 138.91 La.upf
Ir 192.22 Ir.upf
CELL_PARAMETERS angstrom
0.891 0.706 7.693
3.874 -6.122 2.827
7.324 2.001 1.683
ATOMIC_POSITIONS crystal
La 0.605 0.848 0.327
Ir 0.047 0.411 0.828
Ir 0.589 0.172 0.953
La 0.197 0.197 0.197
La 0.803 0.803 0.803
La 0.673 0.395 0.152
La 0.395 0.152 0.673
La 0.848 0.327 0.605
Ir 0.828 0.047 0.411
La 0.000 0.000 0.000
Ir 0.411 0.828 0.047
Ir 0.953 0.589 0.172
Ir 0.172 0.953 0.589
La 0.327 0.605 0.848
La 0.152 0.673 0.395
! **Crystal system**: trigonal
! **Formation energy from the elements**: -0.7684 eV/atom

| no. | energy (eV/atom) |
| --- | --- |
| 1 | -23.034 |
| 2 | -35.957 |
| 3 | -47.862 |
| 4 | -39.559 |